Density functional theory data (PBE) for an optimized crystal structure of CaSc4Si4O14.

a b c (Å): 8.2947 8.2947 8.2947
angles (deg): 45.28 45.28 45.28
Last column: nearest neighbours and their distance in Å.
Sites, in units of the cell vectors:
1 Ca 0.2510 0.2510 0.2510  6 O 2.37-2.43
2 Sc 0.9712 0.5043 0.9712  6 O 2.08-2.26
3 Sc 0.5043 0.9712 0.9712  6 O 2.08-2.26
4 Sc 0.9712 0.9712 0.5043  6 O 2.08-2.26
5 Sc 0.0134 0.0134 0.0134  1 O 1.96
6 Si 0.5288 0.0365 0.5288  5 O 1.67-1.77
7 Si 0.0365 0.5288 0.5288  5 O 1.67-1.77
8 Si 0.5288 0.5288 0.0365  5 O 1.67-1.77
9 Si 0.4954 0.4954 0.4954  6 O 1.77-1.98
10 O 0.4270 0.8186 0.8186  2 Si 1.71
11 O 0.1646 0.5752 0.5752  1 Si 1.67
12 O 0.8186 0.4270 0.8186  2 Si 1.71
13 O 0.8186 0.8186 0.4270  2 Si 1.71
14 O 0.3813 0.3813 0.8200  1 Si 1.77
15 O 0.3813 0.8200 0.3813  1 Si 1.77
16 O 0.2076 0.5928 0.2076  2 Si 1.77
17 O 0.5752 0.1646 0.5752  1 Si 1.67
18 O 0.1015 0.1015 0.1015  1 Sc 1.96
19 O 0.8682 0.8682 0.8682  3 Sc 2.08
20 O 0.8200 0.3813 0.3813  1 Si 1.77
21 O 0.5752 0.5752 0.1646  1 Si 1.67
22 O 0.2076 0.2076 0.5928  2 Si 1.77
23 O 0.5928 0.2076 0.2076  2 Si 1.77

Computed properties:
The value obtained for the formation energy from the elements is -3204.7 meV/atom. For the total energy after the MP2020 corrections, the calculation gives -0.3068 hartree per atom. The electronic total energy comes out at -182.4 eV per cell. Its space-group type is R3m, No. 160. The calculation puts the density at 3.52 Mg/m³.


Density functional theory data (PBE) for an optimized crystal structure of Na3Nb2Ga2SiP5O24.

a b c (Å): 8.7491 8.7102 22.4445
angles (deg): 90.11 89.85 119.86
Last column: nearest neighbours and their distance in Å.
Sites, in units of the cell vectors:
1 Na 0.3606 0.9921 0.7527  5 O 2.33-2.55
2 Na 0.6726 0.9719 0.5872  5 O 2.29-2.53
3 Na 0.6751 0.7015 0.0841  4 O 2.27-2.48
4 Na 0.0159 0.0010 0.5061  3 O 2.29-2.49
5 Na 0.0129 0.0082 0.0059  5 O 2.41-2.66
6 Na 0.6769 0.3444 0.8409  3 O 2.33-2.47
7 Na 0.6650 0.3319 0.3399  3 O 2.38-2.44
8 Na 0.3226 0.6661 0.1747  4 O 2.37-2.62
9 Na 0.3251 0.6473 0.6733  4 O 2.36-2.64
10 Nb 0.0005 0.0001 0.3559  6 O 1.98-2.02
11 Nb 0.9945 0.9995 0.8565  6 O 1.89-2.07
12 Nb 0.6684 0.3325 0.6884  6 O 1.94-2.06
13 Nb 0.6717 0.3346 0.1900  6 O 1.90-2.05
14 Nb 0.3267 0.6666 0.0219  6 O 1.92-2.06
15 Nb 0.3295 0.6672 0.5213  6 O 1.95-2.04
16 Ga 0.0043 0.9993 0.6484  6 O 1.91-2.11
17 Ga 0.0080 0.0016 0.1483  6 O 1.94-2.11
18 Ga 0.6687 0.3375 0.9817  6 O 1.89-2.07
19 Ga 0.6587 0.3299 0.4804  6 O 1.87-2.05
20 Ga 0.3329 0.6668 0.3146  6 O 1.94-2.05
21 Ga 0.3397 0.6657 0.8147  6 O 1.93-2.08
22 Si 0.7078 0.9888 0.7468  4 O 1.60-1.68
23 Si 0.3679 0.0516 0.5818  4 O 1.59-1.69
24 Si 0.9520 0.6268 0.0822  4 O 1.60-1.67
25 P 0.2848 0.9906 0.2493  4 O 1.52-1.57
26 P 0.7050 0.7160 0.2486  4 O 1.52-1.58
27 P 0.0096 0.2910 0.2487  4 O 1.52-1.58
28 P 0.2823 0.2930 0.7495  4 O 1.52-1.58
29 P 0.0037 0.7124 0.7503  4 O 1.53-1.56
30 P 0.9523 0.3302 0.5809  4 O 1.52-1.58
31 P 0.6732 0.6222 0.5802  4 O 1.51-1.59
32 P 0.6745 0.0521 0.0816  4 O 1.51-1.59
33 P 0.3751 0.3230 0.0820  4 O 1.52-1.59
34 P 0.6171 0.6557 0.9163  4 O 1.52-1.59
35 P 0.0421 0.3848 0.9142  4 O 1.51-1.58
36 P 0.3434 0.9640 0.9145  4 O 1.52-1.58
37 P 0.6175 0.9596 0.4148  4 O 1.51-1.58
38 P 0.3430 0.3843 0.4139  4 O 1.51-1.58
39 P 0.0382 0.6550 0.4145  4 O 1.51-1.58
40 O 0.1958 0.0210 0.3055  1 P 1.57
41 O 0.8268 0.8058 0.3038  1 P 1.57
42 O 0.9793 0.1741 0.3053  1 P 1.57
43 O 0.2026 0.1697 0.8052  1 P 1.57
44 O 0.9761 0.8018 0.8066  1 P 1.56
45 O 0.8353 0.0240 0.8058  1 Si 1.66
46 O 0.7941 0.9671 0.6865  1 Si 1.60
47 O 0.1757 0.2085 0.6936  1 P 1.52
48 O 0.0422 0.8305 0.6957  1 P 1.53
49 O 0.7869 0.8194 0.1912  1 P 1.53
50 O 0.0306 0.2034 0.1931  1 P 1.52
51 O 0.1754 0.9654 0.1939  1 P 1.52
52 O 0.8686 0.3640 0.6383  1 P 1.58
53 O 0.4966 0.1322 0.6423  1 Si 1.68
54 O 0.6431 0.5079 0.6374  1 P 1.56
55 O 0.8605 0.4991 0.1417  1 Si 1.67
56 O 0.6371 0.1319 0.1385  1 P 1.56
57 O 0.4967 0.3616 0.1378  1 P 1.57
58 O 0.4555 0.2951 0.0259  1 P 1.52
59 O 0.8256 0.5405 0.0258  1 Si 1.60
60 O 0.6964 0.1592 0.0262  1 P 1.51
61 O 0.4648 0.1641 0.5242  1 Si 1.59
62 O 0.7002 0.5389 0.5252  1 P 1.51
63 O 0.8378 0.3011 0.5268  1 P 1.52
64 O 0.5386 0.6891 0.9743  1 P 1.56
65 O 0.1596 0.4720 0.9712  1 P 1.58
66 O 0.3138 0.8404 0.9700  1 P 1.58
67 O 0.5362 0.8457 0.4729  1 P 1.58
68 O 0.3102 0.4686 0.4709  1 P 1.57
69 O 0.1582 0.6895 0.4712  1 P 1.58
70 O 0.1261 0.6328 0.3596  1 P 1.51
71 O 0.5054 0.8695 0.3608  1 P 1.51
72 O 0.3625 0.4926 0.3588  1 P 1.51
73 O 0.1308 0.4952 0.8595  1 P 1.51
74 O 0.3640 0.8801 0.8573  1 P 1.53
75 O 0.5089 0.6380 0.8614  1 P 1.52
76 O 0.0257 0.8295 0.4100  1 P 1.58
77 O 0.8035 0.9713 0.4092  1 P 1.58
78 O 0.1703 0.1963 0.4093  1 P 1.58
79 O 0.0325 0.1991 0.9108  1 P 1.58
80 O 0.1706 0.9759 0.9118  1 P 1.57
81 O 0.8050 0.8285 0.9110  1 P 1.59
82 O 0.9696 0.1656 0.5886  1 P 1.52
83 O 0.1734 0.0205 0.5902  1 Si 1.60
84 O 0.8263 0.8117 0.5868  1 P 1.53
85 O 0.9720 0.8200 0.0908  1 Si 1.61
86 O 0.8315 0.0227 0.0897  1 P 1.53
87 O 0.1893 0.1698 0.0905  1 P 1.52
88 O 0.6907 0.1723 0.7441  1 Si 1.68
89 O 0.4695 0.3071 0.7439  1 P 1.58
90 O 0.8317 0.5310 0.7451  1 P 1.55
91 O 0.6901 0.5275 0.2448  1 P 1.58
92 O 0.8342 0.3012 0.2449  1 P 1.58
93 O 0.4695 0.1631 0.2445  1 P 1.57
94 O 0.6397 0.4936 0.9210  1 P 1.52
95 O 0.8575 0.3570 0.9219  1 P 1.52
96 O 0.5050 0.1453 0.9232  1 P 1.52
97 O 0.6464 0.1462 0.4214  1 P 1.52
98 O 0.5033 0.3607 0.4201  1 P 1.52
99 O 0.8555 0.4966 0.4233  1 P 1.52
100 O 0.3690 0.5019 0.0763  1 P 1.59
101 O 0.1477 0.6416 0.0774  1 Si 1.65
102 O 0.5064 0.8601 0.0760  1 P 1.59
103 O 0.3623 0.8556 0.5759  1 Si 1.69
104 O 0.5008 0.6385 0.5756  1 P 1.59
105 O 0.1383 0.4986 0.5767  1 P 1.56
106 O 0.3079 0.8293 0.2572  1 P 1.53
107 O 0.5216 0.6924 0.2566  1 P 1.52
108 O 0.1674 0.4762 0.2559  1 P 1.52
109 O 0.3043 0.4758 0.7576  1 P 1.52
110 O 0.1645 0.6892 0.7582  1 P 1.53
111 O 0.5076 0.8285 0.7552  1 Si 1.62

Computed properties:
The value obtained for the formation energy from the elements is -2740.1 meV/atom. For the total energy after the MP2020 corrections, the calculation gives -0.2809 hartree per atom. The electronic total energy comes out at -799.1 eV per cell. Its space-group type is P1, No. 1. The calculation puts the density at 3.23 Mg/m³.


Density functional theory data (PBE) for an optimized crystal structure of MnTlRh2.

a b c (Å): 3.1774 3.1774 6.4103
angles (deg): 90.00 90.00 90.00
Last column: nearest neighbours and their distance in Å.
Sites, in units of the cell vectors:
1 Mn 0.0000 0.0000 0.0000  8 Rh 2.67
2 Tl 0.0000 0.0000 0.5000  8 Rh 2.85, 4 Tl 3.18
3 Rh 0.5000 0.5000 0.2261  4 Mn 2.67, 4 Tl 2.85, 1 Rh 2.90
4 Rh 0.5000 0.5000 0.7739  4 Mn 2.67, 4 Tl 2.85, 1 Rh 2.90

Computed properties:
The value obtained for the formation energy from the elements is -32.1 meV/atom. The electronic total energy comes out at -26.4 eV per cell. Its space-group type is P4/mmm, No. 123. The calculation puts the density at 11.93 Mg/m³.


Density functional theory data (PBE) for an optimized crystal structure of Mg5Si9.

a b c (Å): 6.8593 7.7480 10.8977
angles (deg): 105.83 92.70 114.74
Last column: nearest neighbours and their distance in Å.
Sites, in units of the cell vectors:
1 Mg 0.1275 0.5245 0.2848  6 Si 2.76-3.08, 2 Mg 2.97-3.01
2 Mg 0.9331 0.1794 0.5989  7 Si 2.73-2.94, 1 Mg 3.00
3 Mg 0.4540 0.9710 0.4448  6 Si 2.74-3.03
4 Mg 0.4217 0.3508 0.6366  5 Si 2.71-2.96, 3 Mg 2.96-3.03
5 Mg 0.3781 0.3173 0.3586  8 Si 2.79-3.05, 3 Mg 2.96-3.12
6 Mg 0.6914 0.7241 0.5686  5 Si 2.75-2.94, 1 Mg 3.03
7 Mg 0.8715 0.2266 0.9686  8 Si 2.77-2.99
8 Mg 0.8530 0.6224 0.1237  4 Si 2.70-2.83, 2 Mg 2.91-2.97
9 Mg 0.3672 0.0286 0.9465  8 Si 2.75-3.01
10 Mg 0.6322 0.8497 0.0697  7 Si 2.63-2.84, 1 Mg 2.91
11 Si 0.5639 0.8075 0.8047  3 Si 2.42-2.43
12 Si 0.4017 0.4349 0.1155  2 Si 2.46-2.48
13 Si 0.1629 0.8926 0.6443  4 Si 2.49-2.68
14 Si 0.8829 0.0832 0.3153  5 Si 2.52-2.64, 1 Mg 2.78
15 Si 0.5664 0.0617 0.7146  3 Si 2.42-2.51
16 Si 0.3274 0.9528 0.1892  3 Si 2.43-2.48
17 Si 0.2060 0.5523 0.8077  4 Si 2.43-2.58
18 Si 0.6821 0.2401 0.2018  3 Si 2.48-2.64
19 Si 0.1895 0.2184 0.8190  3 Si 2.53-2.64, 4 Mg 2.75-2.83
20 Si 0.0099 0.8681 0.4153  3 Si 2.51-2.62, 1 Mg 2.78
21 Si 0.0798 0.0766 0.1260  3 Si 2.43-2.52
22 Si 0.9175 0.8518 0.8981  3 Si 2.43-2.49
23 Si 0.8694 0.5522 0.7266  3 Si 2.43-2.65
24 Si 0.6153 0.7203 0.3133  3 Si 2.46-2.63, 1 Mg 2.74
25 Si 0.2133 0.6102 0.0416  3 Si 2.46-2.48, 2 Mg 2.63-2.70
26 Si 0.6027 0.3811 0.8728  3 Si 2.51-2.65, 1 Mg 2.71
27 Si 0.7931 0.3548 0.4521  3 Si 2.46-2.59, 1 Mg 2.73
28 Si 0.1867 0.5476 0.5420  2 Si 2.46-2.68

Computed properties:
The value obtained for the formation energy from the elements is 232.4 meV/atom. For the total energy after the MP2020 corrections, the calculation gives -0.1406 hartree per atom. The electronic total energy comes out at -108.4 eV per cell. Its space-group type is P1, No. 1. The calculation puts the density at 2.50 Mg/m³.


Q: The lowest formation energy from the elements belongs to which entry?
A: CaSc4Si4O14